The following is a DFT calculation (PBE+U) of Fe3Cu2SbP6O24 after structural relaxation.

Magnetic moment in Bohr magnetons per cell: 17.0
Symmetry: R3, No. 146

Cell: 8.629 8.629 8.629 Å, 60.12 60.12 60.12°
Atoms (fractional coordinates):
Fe: 0.000 0.000 0.000
Fe: 0.210 0.210 0.210
Fe: 0.711 0.711 0.711
Cu: 0.348 0.348 0.348
Cu: 0.855 0.855 0.855
Sb: 0.498 0.498 0.498
P: 0.102 0.400 0.816
P: 0.309 0.901 0.608
P: 0.400 0.816 0.102
P: 0.608 0.309 0.901
P: 0.816 0.102 0.400
P: 0.901 0.608 0.309
O: 0.050 0.241 0.846
O: 0.091 0.442 0.295
O: 0.116 0.911 0.771
O: 0.169 0.362 0.969
O: 0.241 0.846 0.050
O: 0.272 0.414 0.616
O: 0.295 0.091 0.442
O: 0.343 0.740 0.547
O: 0.362 0.969 0.169
O: 0.414 0.616 0.272
O: 0.442 0.295 0.091
O: 0.471 0.856 0.666
O: 0.547 0.343 0.740
O: 0.596 0.794 0.944
O: 0.616 0.272 0.414
O: 0.666 0.471 0.856
O: 0.740 0.547 0.343
O: 0.771 0.116 0.911
O: 0.794 0.944 0.596
O: 0.846 0.050 0.241
O: 0.856 0.666 0.471
O: 0.911 0.771 0.116
O: 0.944 0.596 0.794
O: 0.969 0.169 0.362

The following is a DFT calculation (PBE+U) of Fe3Cu2SnP6O24 after structural relaxation.

Symmetry: R3, No. 146

Cell: 8.625 8.625 8.625 Å, 60.25 60.25 60.25°
Atoms (fractional coordinates):
Fe: 0.000 0.000 0.000
Fe: 0.210 0.210 0.210
Fe: 0.711 0.711 0.711
Cu: 0.351 0.351 0.351
Cu: 0.856 0.856 0.856
Sn: 0.499 0.499 0.499
P: 0.102 0.400 0.815
P: 0.309 0.903 0.607
P: 0.400 0.815 0.102
P: 0.607 0.309 0.903
P: 0.815 0.102 0.400
P: 0.903 0.607 0.309
O: 0.042 0.243 0.851
O: 0.097 0.442 0.295
O: 0.115 0.916 0.770
O: 0.166 0.362 0.969
O: 0.243 0.851 0.042
O: 0.266 0.412 0.617
O: 0.295 0.097 0.442
O: 0.341 0.748 0.546
O: 0.362 0.969 0.166
O: 0.412 0.617 0.266
O: 0.442 0.295 0.097
O: 0.470 0.861 0.665
O: 0.546 0.341 0.748
O: 0.596 0.799 0.940
O: 0.617 0.266 0.412
O: 0.665 0.470 0.861
O: 0.748 0.546 0.341
O: 0.770 0.115 0.916
O: 0.799 0.940 0.596
O: 0.851 0.042 0.243
O: 0.861 0.665 0.470
O: 0.916 0.770 0.115
O: 0.940 0.596 0.799
O: 0.969 0.166 0.362

The following is a DFT calculation (PBE+U) of Ti3FeCu2P6O24 after structural relaxation.

Magnetic moment in Bohr magnetons per cell: 6.0
Symmetry: R3, No. 146

Cell: 8.617 8.617 8.617 Å, 60.09 60.09 60.09°
Atoms (fractional coordinates):
Ti: 0.000 0.000 0.000
Ti: 0.214 0.214 0.214
Ti: 0.501 0.501 0.501
Fe: 0.714 0.714 0.714
Cu: 0.357 0.357 0.357
Cu: 0.855 0.855 0.855
P: 0.106 0.815 0.400
P: 0.316 0.608 0.899
P: 0.400 0.106 0.815
P: 0.608 0.899 0.316
P: 0.815 0.400 0.106
P: 0.899 0.316 0.608
O: 0.049 0.859 0.235
O: 0.091 0.295 0.442
O: 0.121 0.773 0.915
O: 0.169 0.978 0.352
O: 0.235 0.049 0.859
O: 0.274 0.624 0.413
O: 0.295 0.442 0.091
O: 0.352 0.169 0.978
O: 0.359 0.550 0.734
O: 0.413 0.274 0.624
O: 0.442 0.091 0.295
O: 0.474 0.665 0.864
O: 0.550 0.734 0.359
O: 0.591 0.944 0.803
O: 0.624 0.413 0.274
O: 0.665 0.864 0.474
O: 0.734 0.359 0.550
O: 0.773 0.915 0.121
O: 0.803 0.591 0.944
O: 0.859 0.235 0.049
O: 0.864 0.474 0.665
O: 0.915 0.121 0.773
O: 0.944 0.803 0.591
O: 0.978 0.352 0.169

The following is a DFT calculation (PBE+U) of Ti3Fe2CuP6O24 after structural relaxation.

Magnetic moment in Bohr magnetons per cell: 9.0
Symmetry: R3, No. 146

Cell: 8.530 8.530 8.530 Å, 61.19 61.19 61.19°
Atoms (fractional coordinates):
Ti: 0.000 0.000 0.000
Ti: 0.213 0.213 0.213
Ti: 0.710 0.710 0.710
Fe: 0.359 0.359 0.359
Fe: 0.856 0.856 0.856
Cu: 0.500 0.500 0.500
P: 0.105 0.812 0.400
P: 0.310 0.603 0.898
P: 0.400 0.105 0.812
P: 0.603 0.898 0.310
P: 0.812 0.400 0.105
P: 0.898 0.310 0.603
O: 0.029 0.868 0.241
O: 0.097 0.298 0.446
O: 0.115 0.767 0.923
O: 0.170 0.975 0.353
O: 0.241 0.029 0.868
O: 0.258 0.620 0.407
O: 0.298 0.446 0.097
O: 0.337 0.542 0.747
O: 0.353 0.170 0.975
O: 0.407 0.258 0.620
O: 0.446 0.097 0.298
O: 0.475 0.668 0.851
O: 0.542 0.747 0.337
O: 0.594 0.942 0.803
O: 0.620 0.407 0.258
O: 0.668 0.851 0.475
O: 0.747 0.337 0.542
O: 0.767 0.923 0.115
O: 0.803 0.594 0.942
O: 0.851 0.475 0.668
O: 0.868 0.241 0.029
O: 0.923 0.115 0.767
O: 0.942 0.803 0.594
O: 0.975 0.353 0.170

Number 1: energy with MP2020 corrections -7.436 eV/atom, E -244.44 eV for the cell shown. Number 2: energy with MP2020 corrections -7.429 eV/atom, E -244.19 eV for the cell shown. Number 3: energy with MP2020 corrections -7.984 eV/atom, E -268.67 eV for the cell shown. Number 4: energy with MP2020 corrections -8.136 eV/atom, E -271.89 eV for the cell shown.